ErCo5 | meta-GGA r2SCAN | relaxed

Calculated values
SG: P2/m, No. 10
E_form: -0.114 eV per atom

Unit cell a=4.980 b=4.870 c=3.898 alpha=90.00 beta=90.00 gamma=120.35
Fractional coordinates of all 6 atoms:
1 Er 0.000 0.000 0.000
2 Co 0.000 0.500 0.500
3 Co 0.673 0.345 0.000
4 Co 0.500 0.000 0.500
5 Co 0.327 0.655 0.000
6 Co 0.500 0.500 0.500